# 1
{"formula": "MgV4O8", "functional": "PBE with a Hubbard U", "state": "relaxed", "lattice": [[5.257, 0.069, 0.011], [2.135, 4.805, -0.011], [0.014, -0.020, 6.343]], "species": ["Mg", "V", "V", "V", "V", "O", "O", "O", "O", "O", "O", "O", "O"], "frac_coords": [[0.661, 0.666, 0.250], [0.004, 0.002, 0.994], [0.001, 0.005, 0.506], [0.344, 0.346, 0.250], [0.648, 0.649, 0.750], [0.224, 0.212, 0.037], [0.214, 0.222, 0.463], [0.239, 0.736, 0.249], [0.265, 0.784, 0.747], [0.734, 0.242, 0.251], [0.784, 0.265, 0.753], [0.780, 0.766, 0.981], [0.766, 0.779, 0.519]], "formation_enthalpy_0k_ev_per_atom": -2.45, "crystal_system": "triclinic", "de_polymorph_ev_per_atom": 0.0973, "sg": "P1", "dft_energy_ev_per_cell": -97.0}



# 2
{"formula": "LiCoPO4", "functional": "PBE with a Hubbard U", "state": "relaxed", "lattice": [[5.053, 0.000, 0.000], [0.000, 10.083, 0.000], [0.000, 0.000, 13.660]], "species": ["Li", "Li", "Li", "Li", "Li", "Li", "Li", "Li", "Co", "Co", "Co", "Co", "Co", "Co", "Co", "Co", "P", "P", "P", "P", "P", "P", "P", "P", "O", "O", "O", "O", "O", "O", "O", "O", "O", "O", "O", "O", "O", "O", "O", "O", "O", "O", "O", "O", "O", "O", "O", "O", "O", "O", "O", "O", "O", "O", "O", "O"], "frac_coords": [[0.059, 0.032, 0.249], [0.550, 0.218, 0.997], [0.550, 0.282, 0.497], [0.059, 0.468, 0.749], [0.941, 0.532, 0.249], [0.450, 0.718, 0.997], [0.450, 0.782, 0.497], [0.941, 0.968, 0.749], [0.931, 0.030, 0.499], [0.552, 0.219, 0.248], [0.552, 0.281, 0.748], [0.931, 0.470, 0.999], [0.069, 0.530, 0.499], [0.448, 0.719, 0.248], [0.448, 0.781, 0.748], [0.069, 0.970, 0.999], [0.438, 0.030, 0.624], [0.055, 0.217, 0.872], [0.055, 0.283, 0.372], [0.438, 0.470, 0.124], [0.562, 0.530, 0.624], [0.945, 0.717, 0.872], [0.945, 0.783, 0.372], [0.562, 0.970, 0.124], [0.865, 0.999, 0.122], [0.563, 0.970, 0.530], [0.443, 0.033, 0.218], [0.996, 0.066, 0.874], [0.495, 0.182, 0.625], [0.926, 0.222, 0.466], [0.936, 0.280, 0.778], [0.357, 0.245, 0.872], [0.357, 0.255, 0.372], [0.936, 0.220, 0.278], [0.926, 0.278, 0.966], [0.495, 0.318, 0.125], [0.996, 0.434, 0.374], [0.443, 0.467, 0.718], [0.563, 0.530, 0.030], [0.865, 0.501, 0.622], [0.135, 0.499, 0.122], [0.437, 0.470, 0.530], [0.557, 0.533, 0.218], [0.004, 0.566, 0.874], [0.505, 0.682, 0.625], [0.074, 0.722, 0.466], [0.064, 0.780, 0.778], [0.643, 0.745, 0.872], [0.643, 0.755, 0.372], [0.064, 0.720, 0.278], [0.074, 0.778, 0.966], [0.505, 0.818, 0.125], [0.004, 0.934, 0.374], [0.557, 0.967, 0.718], [0.437, 0.030, 0.030], [0.135, 0.001, 0.622]], "formation_enthalpy_0k_ev_per_atom": -2.40, "crystal_system": "orthorhombic", "de_polymorph_ev_per_atom": 0.0055, "sg": "Pca2_1", "dft_energy_ev_per_cell": -373.2}



# 3
{"formula": "LiV6O7F5", "functional": "PBE with a Hubbard U", "state": "relaxed", "lattice": [[-1.425, -3.424, -3.265], [-2.885, -3.072, 3.799], [-6.869, 3.532, -1.216]], "species": ["Li", "V", "V", "V", "V", "V", "V", "O", "O", "O", "O", "O", "O", "O", "F", "F", "F", "F", "F"], "frac_coords": [[0.501, 0.786, 0.217], [0.004, 0.008, 0.998], [0.448, 0.457, 0.980], [0.561, 0.210, 0.340], [0.506, 0.819, 0.676], [0.983, 0.341, 0.675], [0.997, 0.654, 0.341], [0.174, 0.285, 0.893], [0.326, 0.486, 0.238], [0.310, 0.793, 0.906], [0.686, 0.190, 0.093], [0.680, 0.521, 0.761], [0.676, 0.872, 0.426], [0.836, 0.372, 0.437], [0.178, 0.969, 0.241], [0.189, 0.639, 0.576], [0.313, 0.142, 0.574], [0.808, 0.022, 0.762], [0.822, 0.697, 0.102]], "formation_enthalpy_0k_ev_per_atom": -2.71, "crystal_system": "triclinic", "de_polymorph_ev_per_atom": 0.0375, "sg": "P1", "dft_energy_ev_per_cell": -134.9}



# 4
{"formula": "LiV4O5F7", "functional": "PBE with a Hubbard U", "state": "relaxed", "lattice": [[-3.488, -3.297, 2.020], [-0.840, -2.182, -4.887], [5.361, -5.161, 0.894]], "species": ["Li", "V", "V", "V", "V", "O", "O", "O", "O", "O", "F", "F", "F", "F", "F", "F", "F"], "frac_coords": [[0.003, 0.558, 0.269], [0.025, 0.965, 0.495], [0.027, 0.043, 0.005], [0.522, 0.520, 0.002], [0.520, 0.479, 0.500], [0.073, 0.991, 0.250], [0.207, 0.300, 0.962], [0.203, 0.699, 0.537], [0.782, 0.683, 0.057], [0.786, 0.316, 0.444], [0.294, 0.201, 0.553], [0.290, 0.796, 0.946], [0.372, 0.499, 0.251], [0.602, 0.500, 0.750], [0.693, 0.198, 0.051], [0.696, 0.798, 0.448], [0.907, 0.002, 0.751]], "formation_enthalpy_0k_ev_per_atom": -2.75, "crystal_system": "triclinic", "de_polymorph_ev_per_atom": 0.0478, "sg": "P1", "dft_energy_ev_per_cell": -109.7}



# 5
{"formula": "Zr3MnF6", "functional": "PBE with a Hubbard U", "state": "relaxed", "lattice": [[-3.613, -4.481, 2.187], [-3.811, 4.552, -2.645], [-0.114, 3.546, -7.822]], "species": ["Zr", "Zr", "Zr", "Mn", "F", "F", "F", "F", "F", "F"], "frac_coords": [[0.000, 0.000, 0.500], [0.500, 0.500, 0.000], [0.000, 0.500, 0.000], [0.000, 0.000, 0.000], [0.752, 0.376, 0.778], [0.248, 0.624, 0.222], [0.890, 0.973, 0.711], [0.110, 0.027, 0.289], [0.725, 0.749, 0.104], [0.275, 0.251, 0.896]], "formation_enthalpy_0k_ev_per_atom": -2.33, "crystal_system": "triclinic", "de_polymorph_ev_per_atom": 0.0874, "sg": "P-1", "dft_energy_ev_per_cell": -65.2}



# 6
{"formula": "Li3Fe4P8O28", "functional": "PBE with a Hubbard U", "state": "relaxed", "lattice": [[-4.792, -3.359, -7.607], [-6.141, -4.650, 5.990], [-5.458, 9.665, 1.945]], "species": ["Li", "Li", "Li", "Li", "Li", "Li", "Fe", "Fe", "Fe", "Fe", "Fe", "Fe", "Fe", "Fe", "P", "P", "P", "P", "P", "P", "P", "P", "P", "P", "P", "P", "P", "P", "P", "P", "O", "O", "O", "O", "O", "O", "O", "O", "O", "O", "O", "O", "O", "O", "O", "O", "O", "O", "O", "O", "O", "O", "O", "O", "O", "O", "O", "O", "O", "O", "O", "O", "O", "O", "O", "O", "O", "O", "O", "O", "O", "O", "O", "O", "O", "O", "O", "O", "O", "O", "O", "O", "O", "O", "O", "O"], "frac_coords": [[0.414, 0.598, 0.977], [0.332, 0.912, 0.463], [0.388, 0.214, 0.547], [0.915, 0.901, 0.978], [0.832, 0.589, 0.463], [0.886, 0.286, 0.546], [0.206, 0.914, 0.680], [0.250, 0.208, 0.826], [0.238, 0.723, 0.170], [0.293, 0.435, 0.334], [0.704, 0.588, 0.680], [0.749, 0.297, 0.821], [0.739, 0.778, 0.170], [0.793, 0.066, 0.334], [0.021, 0.443, 0.753], [0.112, 0.709, 0.886], [0.065, 0.918, 0.242], [0.124, 0.147, 0.417], [0.377, 0.642, 0.576], [0.432, 0.423, 0.762], [0.525, 0.056, 0.752], [0.384, 0.215, 0.118], [0.613, 0.791, 0.885], [0.477, 0.946, 0.248], [0.565, 0.581, 0.242], [0.624, 0.352, 0.417], [0.877, 0.858, 0.576], [0.931, 0.077, 0.763], [0.882, 0.285, 0.117], [0.977, 0.554, 0.247], [0.019, 0.421, 0.622], [0.036, 0.853, 0.572], [0.088, 0.083, 0.737], [0.100, 0.585, 0.790], [0.102, 0.337, 0.841], [0.185, 0.821, 0.823], [0.216, 0.660, 0.002], [0.029, 0.250, 0.089], [0.119, 0.069, 0.290], [0.080, 0.900, 0.112], [0.133, 0.544, 0.223], [0.188, 0.288, 0.400], [0.172, 0.816, 0.314], [0.222, 0.066, 0.516], [0.291, 0.566, 0.469], [0.342, 0.301, 0.699], [0.321, 0.786, 0.596], [0.369, 0.040, 0.779], [0.365, 0.560, 0.698], [0.417, 0.427, 0.891], [0.468, 0.757, 0.904], [0.295, 0.165, 0.997], [0.320, 0.330, 0.181], [0.400, 0.091, 0.212], [0.409, 0.588, 0.261], [0.396, 0.842, 0.157], [0.469, 0.343, 0.435], [0.522, 0.080, 0.621], [0.473, 0.924, 0.378], [0.535, 0.648, 0.571], [0.605, 0.166, 0.839], [0.588, 0.419, 0.737], [0.605, 0.916, 0.790], [0.685, 0.679, 0.823], [0.717, 0.840, 0.002], [0.531, 0.252, 0.092], [0.579, 0.600, 0.111], [0.619, 0.431, 0.289], [0.633, 0.957, 0.223], [0.687, 0.213, 0.399], [0.672, 0.685, 0.314], [0.722, 0.434, 0.516], [0.791, 0.933, 0.469], [0.840, 0.198, 0.700], [0.821, 0.713, 0.596], [0.863, 0.456, 0.781], [0.920, 0.070, 0.893], [0.864, 0.940, 0.697], [0.968, 0.744, 0.905], [0.794, 0.334, 0.995], [0.819, 0.170, 0.181], [0.896, 0.658, 0.157], [0.899, 0.408, 0.211], [0.909, 0.911, 0.261], [0.969, 0.156, 0.435], [0.972, 0.575, 0.377]], "formation_enthalpy_0k_ev_per_atom": -2.37, "crystal_system": "triclinic", "de_polymorph_ev_per_atom": 0.0142, "sg": "P1", "dft_energy_ev_per_cell": -590.6}



# 7
{"formula": "Li2FeP2O8", "functional": "PBE with a Hubbard U", "state": "relaxed", "lattice": [[-2.364, -2.944, -3.005], [-0.852, -3.950, 4.316], [-8.839, 4.539, 2.432]], "species": ["Li", "Li", "Li", "Li", "Fe", "Fe", "P", "P", "P", "P", "O", "O", "O", "O", "O", "O", "O", "O", "O", "O", "O", "O", "O", "O", "O", "O"], "frac_coords": [[0.000, 0.000, 0.000], [0.531, 0.253, 0.774], [0.500, 0.500, 0.500], [0.469, 0.747, 0.226], [0.016, 0.747, 0.721], [0.984, 0.253, 0.279], [0.584, 0.751, 0.897], [0.068, 0.249, 0.594], [0.932, 0.751, 0.406], [0.416, 0.249, 0.103], [0.341, 0.248, 0.957], [0.268, 0.762, 0.877], [0.738, 0.955, 0.831], [0.729, 0.553, 0.820], [0.189, 0.037, 0.665], [0.205, 0.456, 0.663], [0.753, 0.265, 0.596], [0.814, 0.747, 0.550], [0.186, 0.253, 0.450], [0.247, 0.735, 0.404], [0.811, 0.963, 0.335], [0.795, 0.544, 0.337], [0.271, 0.447, 0.180], [0.262, 0.045, 0.169], [0.732, 0.238, 0.123], [0.659, 0.752, 0.043]], "formation_enthalpy_0k_ev_per_atom": -2.37, "crystal_system": "triclinic", "de_polymorph_ev_per_atom": 0.0333, "sg": "P-1", "dft_energy_ev_per_cell": -171.6}



# 8
{"formula": "Li9Mn2Co5O16", "functional": "PBE with a Hubbard U", "state": "relaxed", "lattice": [[2.899, 0.000, 0.000], [-0.142, 5.126, 0.000], [-0.361, -1.572, 19.365]], "species": ["Li", "Li", "Li", "Li", "Li", "Li", "Li", "Li", "Li", "Mn", "Mn", "Co", "Co", "Co", "Co", "Co", "O", "O", "O", "O", "O", "O", "O", "O", "O", "O", "O", "O", "O", "O", "O", "O"], "frac_coords": [[0.998, 0.391, 0.115], [0.500, 0.632, 0.378], [0.999, 0.879, 0.626], [0.491, 0.124, 0.878], [0.512, 0.870, 0.117], [0.002, 0.119, 0.378], [0.502, 0.373, 0.627], [0.004, 0.611, 0.881], [0.500, 0.502, 0.000], [0.999, 0.000, 0.000], [0.501, 0.251, 0.250], [0.000, 0.500, 0.501], [0.499, 0.750, 0.750], [0.001, 0.750, 0.249], [0.498, 0.000, 0.500], [0.999, 0.250, 0.750], [0.512, 0.169, 0.056], [0.012, 0.418, 0.307], [0.492, 0.695, 0.555], [0.984, 0.924, 0.806], [0.996, 0.716, 0.059], [0.498, 0.955, 0.307], [0.961, 0.184, 0.557], [0.483, 0.427, 0.808], [0.504, 0.543, 0.194], [0.037, 0.814, 0.441], [0.513, 0.074, 0.692], [0.003, 0.284, 0.942], [0.989, 0.086, 0.196], [0.511, 0.307, 0.444], [0.015, 0.572, 0.691], [0.485, 0.832, 0.945]], "formation_enthalpy_0k_ev_per_atom": -1.77, "crystal_system": "triclinic", "de_polymorph_ev_per_atom": 0.0935, "sg": "P1", "dft_energy_ev_per_cell": -184.4}



# 9
{"formula": "Nb2CrO8", "functional": "PBE with a Hubbard U", "state": "relaxed", "lattice": [[3.747, -5.007, 8.323], [7.685, -0.447, 7.009], [-2.503, 3.037, 3.036]], "species": ["Nb", "Nb", "Nb", "Nb", "Cr", "Cr", "O", "O", "O", "O", "O", "O", "O", "O", "O", "O", "O", "O", "O", "O", "O", "O"], "frac_coords": [[0.067, 0.675, 0.755], [0.325, 0.933, 0.745], [0.933, 0.325, 0.245], [0.675, 0.067, 0.255], [0.666, 0.334, 0.750], [0.334, 0.666, 0.250], [0.118, 0.774, 0.097], [0.226, 0.882, 0.403], [0.882, 0.226, 0.903], [0.774, 0.118, 0.597], [0.343, 0.554, 0.556], [0.446, 0.657, 0.944], [0.657, 0.446, 0.444], [0.554, 0.343, 0.056], [0.926, 0.760, 0.421], [0.240, 0.074, 0.079], [0.429, 0.193, 0.363], [0.807, 0.571, 0.137], [0.571, 0.807, 0.637], [0.193, 0.429, 0.863], [0.760, 0.926, 0.921], [0.074, 0.240, 0.579]], "formation_enthalpy_0k_ev_per_atom": -2.24, "crystal_system": "monoclinic", "sg": "C2/c", "dft_energy_ev_per_cell": -173.2}



# 10
{"formula": "Li5Mn3O8", "functional": "PBE with a Hubbard U", "state": "relaxed", "lattice": [[-1.334, 2.236, 1.302], [-3.279, -3.213, 2.214], [4.686, -1.779, 8.456]], "species": ["Li", "Li", "Li", "Li", "Li", "Mn", "Mn", "Mn", "O", "O", "O", "O", "O", "O", "O", "O"], "frac_coords": [[0.000, 0.000, 0.000], [0.499, 0.747, 0.242], [0.000, 0.500, 0.500], [0.501, 0.253, 0.758], [0.500, 0.500, 0.000], [0.005, 0.732, 0.760], [0.995, 0.268, 0.240], [0.500, 0.000, 0.500], [0.495, 0.860, 0.860], [0.005, 0.600, 0.136], [0.483, 0.362, 0.362], [0.031, 0.101, 0.621], [0.505, 0.140, 0.140], [0.969, 0.899, 0.379], [0.517, 0.638, 0.638], [0.995, 0.400, 0.864]], "formation_enthalpy_0k_ev_per_atom": -2.11, "crystal_system": "triclinic", "de_polymorph_ev_per_atom": 0.0425, "sg": "P-1", "dft_energy_ev_per_cell": -99.8}